MgPb, relaxed, DFT GGA-PBE; E_form = -0.41 kcal/mol of atoms; calculated volume = 26.7 Å³ per atom; symmetry = No. 12; DFT total energy = -10.70 eV per cell
1.0
1.7337 5.8345 0.0000
-1.7337 5.8345 0.0000
0.0000 1.5970 5.2811
Mg Pb
2 2
Direct
0.1282 0.1282 0.6995
0.8718 0.8718 0.3005
0.3816 0.3816 0.7887
0.6184 0.6184 0.2113